Material: Nd3In5
Method: DFT, PBE
State: optimized geometry

a b c (Å): 10.249 8.321 10.591
angles (deg): 90.00 90.00 90.00
Space group Cmcm (No. 63)
One atom of each set of equivalent atoms:
Nd 0.000 0.132 0.250
Nd 0.203 0.500 0.000
In 0.000 0.191 0.550
In 0.000 0.487 0.750
In 0.214 0.211 0.750

## Properties
Its calculated volume is 225.8 Å³/f.u. The value obtained for the formation energy is -0.511 eV per atom.